A plane-wave DFT calculation with GGA-PBE was carried out for Ca3B3N5 after structural relaxation.

```
data_Ca3B3N5
_chemical_formula_sum 'Ca6 B6 N10'
_space_group_name_H-M_alt 'P 1'
_space_group_IT_number 1
_space_group_name_Hall 'P 1'
_cell_length_a 5.6267
_cell_length_b 6.2509
_cell_length_c 7.8347
_cell_angle_alpha 109.68
_cell_angle_beta 111.31
_cell_angle_gamma 90.61
loop_
_atom_site_label
_atom_site_type_symbol
_atom_site_fract_x
_atom_site_fract_y
_atom_site_fract_z
Ca1 Ca 0.8458 0.3912 0.6043
Ca2 Ca 0.1542 0.6088 0.3957
Ca3 Ca 0.6385 0.8515 0.8594
Ca4 Ca 0.3615 0.1485 0.1406
Ca5 Ca 0.6264 0.6889 0.2081
Ca6 Ca 0.3736 0.3111 0.7919
B1 B 0.9330 0.3258 0.9741
B2 B 0.0670 0.6742 0.0259
B3 B 0.6828 0.9620 0.5733
B4 B 0.3172 0.0380 0.4267
B5 B 0.0170 0.8658 0.7492
B6 B 0.9830 0.1342 0.2508
N1 N 0.9383 0.1048 0.7885
N2 N 0.0617 0.8952 0.2115
N3 N 0.8200 0.7375 0.5487
N4 N 0.1800 0.2625 0.4513
N5 N 0.7862 0.5185 0.9113
N6 N 0.2138 0.4815 0.0887
N7 N 0.4181 0.9514 0.5993
N8 N 0.5819 0.0486 0.4007
N9 N 0.1861 0.7622 0.8872
N10 N 0.8139 0.2378 0.1128
```

Summary:
energy of formation = -1119 meV per atom
crystal system = triclinic
space-group type = P-1
final energy = -7.1124 eV/atom
total magnetization = 0.0 Bohr magnetons per cell

A plane-wave DFT calculation with GGA-PBE was carried out for Ca5B3N6 after structural relaxation.

```
data_Ca5B3N6
_chemical_formula_sum 'Ca5 B3 N6'
_space_group_name_H-M_alt 'P 1'
_space_group_IT_number 1
_space_group_name_Hall 'P 1'
_cell_length_a 6.4047
_cell_length_b 6.4047
_cell_length_c 6.4047
_cell_angle_alpha 109.47
_cell_angle_beta 109.47
_cell_angle_gamma 109.47
loop_
_atom_site_label
_atom_site_type_symbol
_atom_site_fract_x
_atom_site_fract_y
_atom_site_fract_z
Ca1 Ca 0.5000 0.5000 0.5000
Ca2 Ca 0.0000 0.0000 0.5000
Ca3 Ca 0.0000 0.5000 0.0000
Ca4 Ca 0.5000 0.0000 0.0000
Ca5 Ca 0.0000 0.0000 0.0000
B1 B 0.0000 0.5000 0.5000
B2 B 0.5000 0.0000 0.5000
B3 B 0.5000 0.5000 0.0000
N1 N 0.0000 0.3176 0.3176
N2 N 0.0000 0.6824 0.6824
N3 N 0.3176 0.0000 0.3176
N4 N 0.6824 0.0000 0.6824
N5 N 0.3176 0.3176 0.0000
N6 N 0.6824 0.6824 0.0000
```

Summary:
energy of formation = -1255 meV per atom
crystal system = cubic
space-group type = Im-3m
final energy = -6.8211 eV/atom
total magnetization = 0.0 Bohr magnetons per cell

A plane-wave DFT calculation with GGA-PBE was carried out for Na3CaB5O10 after structural relaxation.

```
data_Na3CaB5O10
_chemical_formula_sum 'Na6 Ca2 B10 O20'
_space_group_name_H-M_alt 'P 1'
_space_group_IT_number 1
_space_group_name_Hall 'P 1'
_cell_length_a 7.5060
_cell_length_b 7.5282
_cell_length_c 9.8387
_cell_angle_alpha 81.31
_cell_angle_beta 109.92
_cell_angle_gamma 119.78
loop_
_atom_site_label
_atom_site_type_symbol
_atom_site_fract_x
_atom_site_fract_y
_atom_site_fract_z
Na1 Na 0.7676 0.7784 0.4528
Na2 Na 0.7358 0.4618 0.7504
Na3 Na 0.2324 0.2216 0.5472
Na4 Na 0.1949 0.0220 0.1748
Na5 Na 0.8051 0.9780 0.8252
Na6 Na 0.2642 0.5382 0.2496
Ca1 Ca 0.7478 0.5259 0.1200
Ca2 Ca 0.2522 0.4741 0.8800
B1 B 0.2675 0.8557 0.7124
B2 B 0.1146 0.8151 0.9193
B3 B 0.5586 0.2854 0.3938
B4 B 0.8854 0.1849 0.0807
B5 B 0.6135 0.8412 0.1318
B6 B 0.3865 0.1588 0.8682
B7 B 0.4414 0.7146 0.6062
B8 B 0.1277 0.7579 0.4456
B9 B 0.7325 0.1443 0.2876
B10 B 0.8723 0.2421 0.5544
O1 O 0.9834 0.7081 0.9980
O2 O 0.0166 0.2919 0.0020
O3 O 0.4005 0.0750 0.7582
O4 O 0.5995 0.9250 0.2418
O5 O 0.9848 0.7431 0.3153
O6 O 0.8690 0.2692 0.1907
O7 O 0.7591 0.9706 0.0559
O8 O 0.6091 0.6859 0.6266
O9 O 0.4101 0.7682 0.7253
O10 O 0.4973 0.6397 0.0995
O11 O 0.1310 0.7308 0.8093
O12 O 0.2855 0.6953 0.4686
O13 O 0.1270 0.8418 0.5635
O14 O 0.3909 0.3141 0.3734
O15 O 0.2409 0.0294 0.9441
O16 O 0.0152 0.2569 0.6847
O17 O 0.5899 0.2318 0.2747
O18 O 0.8730 0.1582 0.4365
O19 O 0.5027 0.3603 0.9005
O20 O 0.7145 0.3047 0.5314
```

Summary:
energy of formation = -2812 meV per atom
crystal system = triclinic
space-group type = P-1
final energy = -7.1269 eV/atom
total magnetization = 0.0 Bohr magnetons per cell

Calculated values (A^3/atom) of V for the records, taken in order: 10.86, 14.45, 11.93.